# IrC3 (GGA-PBE, optimized geometry)
data_IrC3
_chemical_formula_sum 'Ir4 C12'
_cell_length_a 13.629
_cell_length_b 2.607
_cell_length_c 4.339
_cell_angle_alpha 90.00
_cell_angle_beta 90.00
_cell_angle_gamma 90.00
_symmetry_space_group_name_H-M 'P n m a'
_symmetry_Int_Tables_number 62
loop_
_symmetry_equiv_pos_as_xyz
'x,y,z'
'-x,-y,-z'
'-x+1/2,-y,z+1/2'
'x+1/2,y,-z+1/2'
'x+1/2,-y+1/2,-z+1/2'
'-x+1/2,y+1/2,z+1/2'
'-x,y+1/2,-z'
'x,-y+1/2,z'
loop_
_atom_site_label
_atom_site_type_symbol
_atom_site_fract_x
_atom_site_fract_y
_atom_site_fract_z
Ir1 Ir 0.162 0.250 0.023
C1 C 0.023 0.750 0.533
C2 C 0.126 0.750 0.654
C3 C 0.196 0.750 0.395
# **Formation energy**: 2.9 eV per formula unit


# ScH16I3O8 (GGA-PBE, optimized geometry)
data_ScH16I3O8
_chemical_formula_sum 'Sc4 H64 I12 O32'
_cell_length_a 13.278
_cell_length_b 8.905
_cell_length_c 15.453
_cell_angle_alpha 90.00
_cell_angle_beta 110.38
_cell_angle_gamma 90.00
_symmetry_space_group_name_H-M 'P 1 21/c 1'
_symmetry_Int_Tables_number 14
loop_
_symmetry_equiv_pos_as_xyz
'x,y,z'
'-x,-y,-z'
'-x,y+1/2,-z+1/2'
'x,-y+1/2,z+1/2'
loop_
_atom_site_label
_atom_site_type_symbol
_atom_site_fract_x
_atom_site_fract_y
_atom_site_fract_z
Sc1 Sc 0.227 0.012 0.487
H1 H 0.039 0.563 0.820
H2 H 0.062 0.230 0.403
H3 H 0.092 0.698 0.005
H4 H 0.114 0.222 0.007
H5 H 0.114 0.708 0.845
H6 H 0.194 0.242 0.835
H7 H 0.223 0.058 0.669
H8 H 0.236 0.105 0.308
H9 H 0.254 0.558 0.599
H10 H 0.335 0.116 0.667
H11 H 0.418 0.551 0.010
H12 H 0.428 0.663 0.797
H13 H 0.437 0.099 0.982
H14 H 0.486 0.205 0.768
H15 H 0.489 0.596 0.893
H16 H 0.491 0.513 0.621
I1 I 0.129 0.522 0.293
I2 I 0.155 0.012 0.126
I3 I 0.454 0.179 0.880
O1 O 0.093 0.190 0.466
O2 O 0.102 0.609 0.869
O3 O 0.150 0.651 0.055
O4 O 0.215 0.154 0.355
O5 O 0.247 0.699 0.036
O6 O 0.259 0.107 0.630
O7 O 0.384 0.041 0.519
O8 O 0.416 0.610 0.848
# **Formation energy**: -26.2 eV per formula unit


# Li2CeO3 (GGA-PBE, optimized geometry)
data_Li2CeO3
_chemical_formula_sum 'Li4 Ce2 O6'
_cell_length_a 4.491
_cell_length_b 9.667
_cell_length_c 3.555
_cell_angle_alpha 90.00
_cell_angle_beta 90.00
_cell_angle_gamma 90.00
_symmetry_space_group_name_H-M 'C m m m'
_symmetry_Int_Tables_number 65
_symmetry_space_group_name_Hall '-C 2 2'
loop_
_atom_site_label
_atom_site_type_symbol
_atom_site_fract_x
_atom_site_fract_y
_atom_site_fract_z
Li1 Li 0.000 0.157 0.000
Ce1 Ce 0.000 0.500 0.500
O1 O 0.000 0.000 0.500
O2 O 0.000 0.357 0.000
# **Formation energy**: -18.0 eV per formula unit


# LiMgB3H18N2 (GGA-PBE, optimized geometry)
data_LiMgB3H18N2
_chemical_formula_sum 'Li2 Mg2 B6 H36 N4'
_cell_length_a 7.6974
_cell_length_b 7.6974
_cell_length_c 7.8484
_cell_angle_alpha 90.00
_cell_angle_beta 90.00
_cell_angle_gamma 120.00
_symmetry_space_group_name_H-M 'P 63'
_symmetry_Int_Tables_number 173
loop_
_symmetry_equiv_pos_as_xyz
'x,y,z'
'x-y,x,z+1/2'
'-y,x-y,z'
'-x,-y,z+1/2'
'-x+y,-x,z'
'y,-x+y,z+1/2'
loop_
_atom_site_label
_atom_site_type_symbol
_atom_site_fract_x
_atom_site_fract_y
_atom_site_fract_z
Li1 Li 0.0000 0.0000 0.0000
Mg1 Mg 0.3333 0.6667 0.2693
B1 B 0.0495 0.7449 0.2630
H1 H 0.0164 0.2342 0.6273
H2 H 0.0258 0.5739 0.2637
H3 H 0.0455 0.2462 0.8846
H4 H 0.1263 0.3532 0.2770
H5 H 0.2178 0.5360 0.5895
H6 H 0.2264 0.5311 0.9488
N1 N 0.3333 0.6667 0.5400
N2 N 0.3333 0.6667 0.9984
# **Largest piezoelectric modulus**: 0.146 C/m²
# **Formation energy**: -8.4 eV per formula unit